(1)
Computed, not measured: a relaxed structure of ScGe2 at the PBE level of DFT.

Lattice parameters (Å, degrees): 3.9199 14.8458 3.8478 90.00 90.00 90.00
Closest atoms and distances in Å follow each position.
Fractional positions:
Sc 0.0000 0.1005 0.2500  10 Ge 2.81-3.08
Sc 0.0000 0.8995 0.7500  10 Ge 2.81-3.08
Sc 0.5000 0.3995 0.7500  10 Ge 2.81-3.08
Sc 0.5000 0.6005 0.2500  10 Ge 2.81-3.08
Ge 0.0000 0.2513 0.7500  4 Ge 2.75, 4 Sc 2.95
Ge 0.0000 0.4403 0.2500  2 Ge 2.62, 4 Sc 2.81
Ge 0.0000 0.5597 0.7500  2 Ge 2.62, 4 Sc 2.81
Ge 0.0000 0.7487 0.2500  4 Ge 2.75, 4 Sc 2.95
Ge 0.5000 0.0597 0.7500  2 Ge 2.62, 4 Sc 2.81
Ge 0.5000 0.2487 0.2500  4 Ge 2.75, 4 Sc 2.95
Ge 0.5000 0.7513 0.7500  4 Ge 2.75, 4 Sc 2.95
Ge 0.5000 0.9403 0.2500  2 Ge 2.62, 4 Sc 2.81

Properties
Mass density = 5.643 Mg/m³
E_form = -1.72 eV per formula unit
E_tot = -69.18 eV/cell

=====

(2)
Computed, not measured: a relaxed structure of K2CeH2S3O13 at the PBE level of DFT.

Lattice parameters (Å, degrees): 11.1629 11.1629 18.2713 120.95 120.95 38.14
Closest atoms and distances in Å follow each position.
Fractional positions:
K 0.0000 0.0000 0.0000  10 O 2.98-3.31, 2 H 3.27
K 0.4060 0.0363 0.8394  7 O 2.70-3.00
K 0.4743 0.0662 0.2693  4 O 2.75-2.87
K 0.5508 0.1627 0.7086  9 O 2.74-3.06
K 0.5912 0.4088 0.5000  6 O 2.79-2.87
K 0.8373 0.4492 0.2914  9 O 2.74-3.06
K 0.9338 0.5257 0.7307  4 O 2.75-2.87
K 0.9637 0.5940 0.1606  7 O 2.70-3.00
Ce 0.0718 0.6889 0.5775  8 O 2.30-2.53
Ce 0.3111 0.9282 0.4225  8 O 2.30-2.53
Ce 0.4068 0.4218 0.0838  9 O 2.34-2.55
Ce 0.5782 0.5932 0.9162  9 O 2.34-2.55
H 0.0129 0.9260 0.4004  1 O 0.99
H 0.0278 0.2101 0.9428  1 O 0.98
H 0.0740 0.9871 0.5996  1 O 0.99
H 0.7899 0.9722 0.0572  1 O 0.98
H 0.8316 0.0510 0.1594  1 O 0.98
H 0.8975 0.1016 0.3646  1 O 0.98
H 0.8984 0.1025 0.6354  1 O 0.98
H 0.9490 0.1684 0.8406  1 O 0.98
S 0.0423 0.6393 0.3882  4 O 1.46-1.53
S 0.0860 0.7793 0.7732  4 O 1.46-1.51
S 0.2207 0.9140 0.2268  4 O 1.46-1.51
S 0.3607 0.9577 0.6118  4 O 1.46-1.53
S 0.4055 0.0649 0.0475  4 O 1.46-1.53
S 0.4189 0.3782 0.9054  4 O 1.46-1.51
S 0.4701 0.4458 0.2764  4 O 1.46-1.51
S 0.5055 0.1404 0.5023  4 O 1.45-1.51
S 0.5542 0.5299 0.7236  4 O 1.46-1.51
S 0.6218 0.5811 0.0946  4 O 1.46-1.51
S 0.8596 0.4945 0.4977  4 O 1.45-1.51
S 0.9351 0.5945 0.9525  4 O 1.46-1.53
O 0.0103 0.0231 0.4091  2 H 0.98-0.99
O 0.0457 0.4236 0.8847  1 S 1.46
O 0.0749 0.0226 0.2778  1 S 1.51
O 0.0747 0.5870 0.0388  1 S 1.53
O 0.1334 0.4537 0.3228  1 S 1.46
O 0.1638 0.0506 0.1934  1 S 1.46
O 0.1844 0.5860 0.7085  1 S 1.50
O 0.1924 0.6247 0.4698  1 S 1.52
O 0.1945 0.0750 0.6486  1 S 1.47
O 0.2145 0.2032 0.0692  1 S 1.47
O 0.2293 0.7616 0.1526  1 S 1.50
O 0.2384 0.7707 0.8474  1 S 1.50
O 0.2717 0.5633 0.9625  1 S 1.50
O 0.3201 0.0845 0.5747  1 S 1.53
O 0.3200 0.4553 0.1986  1 S 1.51
O 0.3253 0.3344 0.8188  1 S 1.46
O 0.3557 0.3381 0.5555  1 S 1.51
O 0.3612 0.6345 0.6605  1 S 1.49
O 0.3655 0.6388 0.3395  1 S 1.49
O 0.3753 0.8076 0.5302  1 S 1.52
O 0.4130 0.9253 0.9612  1 S 1.53
O 0.4145 0.1736 0.0274  1 S 1.52
O 0.4140 0.8156 0.2915  1 S 1.50
O 0.4145 0.0611 0.4449  1 S 1.51
O 0.4367 0.7283 0.0375  1 S 1.50
O 0.5379 0.3864 0.8970  1 S 1.49
O 0.5447 0.6800 0.8014  1 S 1.51
O 0.5463 0.8666 0.6772  1 S 1.46
O 0.5468 0.1613 0.4483  1 S 1.45
O 0.5534 0.2190 0.9548  1 S 1.51
O 0.5764 0.9543 0.1153  1 S 1.46
O 0.5873 0.4102 0.2363  1 S 1.51
O 0.5898 0.4127 0.7637  1 S 1.51
O 0.5963 0.2848 0.3188  1 S 1.46
O 0.6136 0.4621 0.1030  1 S 1.49
O 0.6619 0.6443 0.4445  1 S 1.51
O 0.6656 0.6747 0.1812  1 S 1.46
O 0.6854 0.0070 0.5638  1 S 1.49
O 0.7152 0.4037 0.6812  1 S 1.46
O 0.7645 0.0854 0.1022  2 H 0.98
O 0.7810 0.4466 0.0452  1 S 1.51
O 0.7968 0.7855 0.9308  1 S 1.47
O 0.8264 0.5855 0.9726  1 S 1.52
O 0.8387 0.4532 0.5517  1 S 1.45
O 0.9146 0.2355 0.8978  2 H 0.98
O 0.9155 0.6799 0.4253  1 S 1.53
O 0.9250 0.8055 0.3514  1 S 1.47
O 0.9389 0.5855 0.5551  1 S 1.51
O 0.9494 0.8362 0.8066  1 S 1.46
O 0.9774 0.9251 0.7222  1 S 1.51
O 0.9769 0.9897 0.5909  2 H 0.98-0.99
O 0.9930 0.3146 0.4362  1 S 1.49

Properties
Mass density = 2.953 Mg/m³
E_form = -46.99 eV per formula unit
E_tot = -518.92 eV/cell

=====

(3)
Computed, not measured: a relaxed structure of UTe at the PBE level of DFT.

Lattice parameters (Å, degrees): 3.7527 3.7527 3.7527 90.00 90.00 90.00
Closest atoms and distances in Å follow each position.
Fractional positions:
U 0.0000 0.0000 0.0000  8 Te 3.25
Te 0.5000 0.5000 0.5000  8 U 3.25

Properties
Mass density = 11.488 Mg/m³
E_form = -1.30 eV per formula unit
E_tot = -15.32 eV/cell

=====

(4)
Computed, not measured: a relaxed structure of Mn4CoS5 at the PBE level of DFT.

Lattice parameters (Å, degrees): 14.4365 14.4365 14.4365 14.22 14.22 14.22
Closest atoms and distances in Å follow each position.
Fractional positions:
Mn 0.1040 0.1040 0.1040  6 S 2.54
Mn 0.2995 0.2995 0.2995  6 S 2.52-2.57
Mn 0.7005 0.7005 0.7005  6 S 2.52-2.57
Mn 0.8960 0.8960 0.8960  6 S 2.54
Co 0.5000 0.5000 0.5000  6 S 2.39
S 0.0000 0.0000 0.0000  6 Mn 2.52
S 0.1949 0.1949 0.1949  3 Co 2.39, 3 Mn 2.54
S 0.4028 0.4028 0.4028  6 Mn 2.54-2.57
S 0.5972 0.5972 0.5972  6 Mn 2.54-2.57
S 0.8051 0.8051 0.8051  3 Co 2.39, 3 Mn 2.54

Properties
Mass density = 4.611 Mg/m³
E_form = -6.57 eV per formula unit
E_tot = -68.49 eV/cell

=====

(5)
Computed, not measured: a relaxed structure of NaH3Se2O6 at the PBE level of DFT.

Lattice parameters (Å, degrees): 5.8404 4.8874 11.8919 90.00 117.97 90.00
Closest atoms and distances in Å follow each position.
Fractional positions:
Na 0.0000 0.2470 0.0000  6 O 2.43-2.51
Na 0.0000 0.7530 0.5000  6 O 2.43-2.51
H 0.2518 0.2498 0.6730  2 O 1.22
H 0.2518 0.7502 0.1730  2 O 1.22
H 0.5232 0.2803 0.0135  1 O 1.05
H 0.5232 0.7197 0.5135  1 O 1.05
H 0.7214 0.2223 0.3313  1 O 1.05
H 0.7214 0.7777 0.8313  1 O 1.05
Se 0.3250 0.1328 0.3307  3 O 1.69-1.82
Se 0.3250 0.8672 0.8307  3 O 1.69-1.82
Se 0.6576 0.3599 0.6723  3 O 1.69-1.79
Se 0.6576 0.6401 0.1723  3 O 1.69-1.79
O 0.1437 0.0545 0.6920  1 H 1.22
O 0.1437 0.9455 0.1920  1 H 1.22
O 0.3267 0.0580 0.9498  1 H 1.50
O 0.3267 0.9420 0.4498  1 H 1.50
O 0.3449 0.4477 0.6469  1 H 1.22
O 0.3449 0.5523 0.1469  1 H 1.22
O 0.6468 0.0473 0.3537  1 H 1.05
O 0.6468 0.9527 0.8537  1 H 1.05
O 0.6661 0.4323 0.0499  1 H 1.05
O 0.6661 0.5677 0.5499  1 H 1.05
O 0.8495 0.4639 0.3066  1 H 1.50
O 0.8495 0.5361 0.8066  1 H 1.50

Properties
Mass density = 3.101 Mg/m³
E_form = -16.65 eV per formula unit
E_tot = -121.41 eV/cell
Energy above the lowest structure with this stoichiometry = 0 meV/atom

=====

(6)
Computed, not measured: a relaxed structure of MgGa4Cu2O8 at the PBE level of DFT.

Lattice parameters (Å, degrees): 6.4832 6.4832 6.4832 120.18 120.18 89.68
Closest atoms and distances in Å follow each position.
Fractional positions:
Mg 0.0000 0.0000 0.0000  4 O 1.86
Ga 0.4279 0.1432 0.2847  3 O 1.97
Ga 0.8568 0.1415 0.2847  3 O 1.97
Ga 0.8568 0.5721 0.7153  3 O 1.97
Ga 0.8585 0.1432 0.7153  3 O 1.97
Cu 0.2500 0.7500 0.5000  4 O 2.11
Cu 0.5000 0.5000 0.0000  4 O 2.25
O 0.0745 0.3578 0.7167  3 Ga 1.97
O 0.1170 0.3509 0.2338  1 Mg 1.86
O 0.1168 0.8830 0.2338  1 Mg 1.86
O 0.1170 0.8832 0.7662  1 Mg 1.86
O 0.6411 0.3578 0.2833  3 Ga 1.97
O 0.6422 0.3589 0.7167  3 Ga 1.97
O 0.6422 0.9255 0.2833  3 Ga 1.97
O 0.6491 0.8830 0.7662  1 Mg 1.86

Properties
Mass density = 4.825 Mg/m³
E_form = -19.97 eV per formula unit
E_tot = -75.96 eV/cell
Energy above the lowest structure with this stoichiometry = 513 meV/atom

=====

(7)
Computed, not measured: a relaxed structure of TmSnRu2 at the PBE level of DFT.

Lattice parameters (Å, degrees): 6.5670 6.5670 6.5670 90.00 90.00 90.00
Closest atoms and distances in Å follow each position.
Fractional positions:
Tm 0.0000 0.0000 0.0000  8 Ru 2.84
Tm 0.0000 0.5000 0.5000  8 Ru 2.84
Tm 0.5000 0.0000 0.5000  8 Ru 2.84
Tm 0.5000 0.5000 0.0000  8 Ru 2.84
Sn 0.0000 0.0000 0.5000  8 Ru 2.84
Sn 0.0000 0.5000 0.0000  8 Ru 2.84
Sn 0.5000 0.0000 0.0000  8 Ru 2.84
Sn 0.5000 0.5000 0.5000  8 Ru 2.84
Ru 0.2500 0.2500 0.2500  4 Sn 2.84, 4 Tm 2.84
Ru 0.2500 0.2500 0.7500  4 Sn 2.84, 4 Tm 2.84
Ru 0.2500 0.7500 0.2500  4 Sn 2.84, 4 Tm 2.84
Ru 0.2500 0.7500 0.7500  4 Sn 2.84, 4 Tm 2.84
Ru 0.7500 0.2500 0.2500  4 Sn 2.84, 4 Tm 2.84
Ru 0.7500 0.2500 0.7500  4 Sn 2.84, 4 Tm 2.84
Ru 0.7500 0.7500 0.2500  4 Sn 2.84, 4 Tm 2.84
Ru 0.7500 0.7500 0.7500  4 Tm 2.84, 4 Sn 2.84

Properties
Mass density = 11.487 Mg/m³
E_form = -1.65 eV per formula unit
E_tot = -114.75 eV/cell

=====

(8)
Computed, not measured: a relaxed structure of Nd3Co13B2 at the PBE level of DFT.

Lattice parameters (Å, degrees): 5.0725 5.0725 10.7761 90.00 90.00 120.00
Closest atoms and distances in Å follow each position.
Fractional positions:
Nd 0.0000 0.0000 0.0000  12 Co 2.92, 6 B 2.93
Nd 0.0000 0.0000 0.3228  18 Co 2.93-3.25
Nd 0.0000 0.0000 0.6772  18 Co 2.93-3.25
Co 0.0000 0.5000 0.1345  2 B 2.06
Co 0.0000 0.5000 0.5000  8 Co 2.45-2.54
Co 0.0000 0.5000 0.8655  2 B 2.06
Co 0.3333 0.6667 0.3182  6 Co 2.45-2.46
Co 0.3333 0.6667 0.6818  6 Co 2.45-2.46
Co 0.5000 0.0000 0.1345  2 B 2.06
Co 0.5000 0.0000 0.5000  8 Co 2.45-2.54
Co 0.5000 0.0000 0.8655  2 B 2.06
Co 0.5000 0.5000 0.1345  2 B 2.06
Co 0.5000 0.5000 0.5000  8 Co 2.45-2.54
Co 0.5000 0.5000 0.8655  2 B 2.06
Co 0.6667 0.3333 0.3182  6 Co 2.45-2.46
Co 0.6667 0.3333 0.6818  6 Co 2.45-2.46
B 0.3333 0.6667 0.0000  6 Co 2.06
B 0.6667 0.3333 0.0000  6 Co 2.06

Properties
Mass density = 8.440 Mg/m³
E_form = -2.71 eV per formula unit
E_tot = -122.78 eV/cell